Entry 1:
## Na2PdAuF6 (PBE)

Data for a geometry-optimized Na2PdAuF6 structure.

a = 6.177 Å, b = 6.177 Å, c = 6.177 Å
α = 60.00°, β = 60.00°, γ = 60.00°
Sites, in units of the cell vectors:
Na 0.750 0.750 0.750
Na 0.250 0.250 0.250
Pd 0.000 0.000 0.000
Au 0.500 0.500 0.500
F 0.760 0.240 0.240
F 0.240 0.240 0.760
F 0.240 0.760 0.760
F 0.240 0.760 0.240
F 0.760 0.240 0.760
F 0.760 0.760 0.240

## Properties
Calculated formation energy ... -1.843 eV per atom
Total magnetic moment ... 0.0 μB/f.u.
Crystal system ... cubic

---

Entry 2:
## Rb2NaAuF6 (PBE)

Data for a geometry-optimized Rb2NaAuF6 structure.

a = 6.290 Å, b = 6.290 Å, c = 6.290 Å
α = 60.00°, β = 60.00°, γ = 60.00°
Sites, in units of the cell vectors:
Rb 0.750 0.750 0.750
Rb 0.250 0.250 0.250
Na 0.500 0.500 0.500
Au 0.000 0.000 0.000
F 0.758 0.242 0.242
F 0.242 0.242 0.758
F 0.242 0.758 0.758
F 0.242 0.758 0.242
F 0.758 0.242 0.758
F 0.758 0.758 0.242

## Properties
Calculated formation energy ... -2.343 eV per atom
Total magnetic moment ... 2.0 μB/f.u.
Crystal system ... cubic

---

Entry 3:
## Na2RhAuF6 (PBE)

Data for a geometry-optimized Na2RhAuF6 structure.

a = 6.174 Å, b = 6.174 Å, c = 6.174 Å
α = 60.00°, β = 60.00°, γ = 60.00°
Sites, in units of the cell vectors:
Na 0.750 0.750 0.750
Na 0.250 0.250 0.250
Rh 0.000 0.000 0.000
Au 0.500 0.500 0.500
F 0.768 0.232 0.232
F 0.232 0.232 0.768
F 0.232 0.768 0.768
F 0.232 0.768 0.232
F 0.768 0.232 0.768
F 0.768 0.768 0.232

## Properties
Calculated formation energy ... -1.894 eV per atom
Total magnetic moment ... 0.0 μB/f.u.
Crystal system ... cubic

---

Entry 4:
## Na2SbAuF6 (PBE)

Data for a geometry-optimized Na2SbAuF6 structure.

a = 6.533 Å, b = 6.533 Å, c = 6.533 Å
α = 60.00°, β = 60.00°, γ = 60.00°
Sites, in units of the cell vectors:
Na 0.750 0.750 0.750
Na 0.250 0.250 0.250
Sb 0.000 0.000 0.000
Au 0.500 0.500 0.500
F 0.766 0.234 0.234
F 0.234 0.234 0.766
F 0.234 0.766 0.766
F 0.234 0.766 0.234
F 0.766 0.234 0.766
F 0.766 0.766 0.234

## Properties
Calculated formation energy ... -2.123 eV per atom
Total magnetic moment ... 0.0 μB/f.u.
Crystal system ... cubic

---

Entry 5:
## Na2TaAuF6 (PBE)

Data for a geometry-optimized Na2TaAuF6 structure.

a = 7.050 Å, b = 7.050 Å, c = 7.050 Å
α = 60.00°, β = 60.00°, γ = 60.00°
Sites, in units of the cell vectors:
Na 0.250 0.250 0.250
Na 0.750 0.750 0.750
Ta 0.000 0.000 0.000
Au 0.500 0.500 0.500
F 0.193 0.193 0.807
F 0.193 0.807 0.807
F 0.807 0.807 0.193
F 0.193 0.807 0.193
F 0.807 0.193 0.807
F 0.807 0.193 0.193

## Properties
Calculated formation energy ... -2.511 eV per atom
Total magnetic moment ... 0.0 μB/f.u.
Crystal system ... cubic

---

Entry 6:
## Nd2Au5F21 (PBE)

Data for a geometry-optimized Nd2Au5F21 structure.

a = 8.449 Å, b = 8.449 Å, c = 26.362 Å
α = 90.00°, β = 90.00°, γ = 90.00°
Sites, in units of the cell vectors:
Nd 0.554 0.930 0.998
Nd 0.446 0.070 0.498
Nd 0.930 0.554 0.002
Nd 0.430 0.946 0.748
Nd 0.570 0.054 0.248
Nd 0.946 0.430 0.252
Nd 0.054 0.570 0.752
Nd 0.070 0.446 0.502
Au 0.406 0.356 0.843
Au 0.594 0.644 0.343
Au 0.356 0.406 0.157
Au 0.856 0.094 0.593
Au 0.144 0.906 0.093
Au 0.094 0.856 0.407
Au 0.906 0.144 0.907
Au 0.644 0.594 0.657
Au 0.209 0.821 0.889
Au 0.791 0.179 0.389
Au 0.821 0.209 0.111
Au 0.321 0.291 0.639
Au 0.679 0.709 0.139
Au 0.291 0.321 0.361
Au 0.709 0.679 0.861
Au 0.179 0.791 0.611
Au 0.562 0.562 0.500
Au 0.938 0.062 0.750
Au 0.062 0.938 0.250
Au 0.438 0.438 0.000
F 0.593 0.781 0.805
F 0.407 0.219 0.305
F 0.781 0.593 0.195
F 0.281 0.907 0.555
F 0.719 0.093 0.055
F 0.907 0.281 0.445
F 0.093 0.719 0.945
F 0.219 0.407 0.695
F 0.040 0.687 0.456
F 0.960 0.313 0.956
F 0.687 0.040 0.544
F 0.187 0.460 0.206
F 0.813 0.540 0.706
F 0.460 0.187 0.794
F 0.540 0.813 0.294
F 0.313 0.960 0.044
F 0.908 0.806 0.368
F 0.092 0.194 0.868
F 0.806 0.908 0.632
F 0.306 0.592 0.118
F 0.694 0.408 0.618
F 0.592 0.306 0.882
F 0.408 0.694 0.382
F 0.194 0.092 0.132
F 0.938 0.294 0.752
F 0.062 0.706 0.252
F 0.294 0.938 0.248
F 0.206 0.438 0.002
F 0.794 0.562 0.502
F 0.067 0.677 0.665
F 0.933 0.323 0.165
F 0.677 0.067 0.335
F 0.323 0.933 0.835
F 0.823 0.567 0.915
F 0.433 0.177 0.585
F 0.567 0.823 0.085
F 0.914 0.300 0.339
F 0.200 0.414 0.589
F 0.800 0.586 0.089
F 0.414 0.200 0.411
F 0.586 0.800 0.911
F 0.086 0.700 0.839
F 0.300 0.914 0.661
F 0.700 0.086 0.161
F 0.449 0.175 0.690
F 0.325 0.949 0.940
F 0.675 0.051 0.440
F 0.949 0.325 0.060
F 0.051 0.675 0.560
F 0.551 0.825 0.190
F 0.175 0.449 0.310
F 0.825 0.551 0.810
F 0.329 0.565 0.500
F 0.935 0.829 0.750
F 0.065 0.171 0.250
F 0.829 0.935 0.250
F 0.171 0.065 0.750
F 0.671 0.435 0.000
F 0.565 0.329 0.500
F 0.435 0.671 0.000
F 0.912 0.283 0.552
F 0.217 0.412 0.802
F 0.783 0.588 0.302
F 0.412 0.217 0.198
F 0.588 0.783 0.698
F 0.088 0.717 0.052
F 0.283 0.912 0.448
F 0.717 0.088 0.948
F 0.778 0.778 0.000
F 0.722 0.278 0.250
F 0.278 0.722 0.750
F 0.222 0.222 0.500
F 0.525 0.361 0.109
F 0.139 0.025 0.359
F 0.861 0.975 0.859
F 0.025 0.139 0.641
F 0.975 0.861 0.141
F 0.475 0.639 0.609
F 0.361 0.525 0.891
F 0.639 0.475 0.391
F 0.706 0.062 0.748
F 0.438 0.206 0.998
F 0.562 0.794 0.498
F 0.177 0.433 0.415

## Properties
Calculated formation energy ... -2.233 eV per atom
Total magnetic moment ... 0.0 μB/f.u.
Crystal system ... tetragonal

---

Entry 7:
## SbP2AuF12 (PBE)

Data for a geometry-optimized SbP2AuF12 structure.

a = 8.486 Å, b = 9.125 Å, c = 8.567 Å
α = 90.00°, β = 119.76°, γ = 90.00°
Sites, in units of the cell vectors:
Sb 0.000 0.500 0.500
Sb 0.000 0.000 0.000
P 0.690 0.027 0.347
P 0.310 0.527 0.153
P 0.310 0.973 0.653
P 0.690 0.473 0.847
Au 0.000 0.000 0.500
Au 0.000 0.500 0.000
F 0.164 0.421 0.733
F 0.836 0.921 0.767
F 0.836 0.579 0.267
F 0.164 0.079 0.233
F 0.140 0.410 0.405
F 0.860 0.910 0.095
F 0.860 0.590 0.595
F 0.140 0.090 0.905
F 0.148 0.674 0.560
F 0.852 0.174 0.940
F 0.852 0.326 0.440
F 0.148 0.826 0.060
F 0.602 0.114 0.439
F 0.398 0.614 0.061
F 0.398 0.886 0.561
F 0.602 0.386 0.939
F 0.605 0.102 0.160
F 0.395 0.602 0.340
F 0.395 0.898 0.840
F 0.605 0.398 0.660
F 0.581 0.881 0.299
F 0.419 0.381 0.201
F 0.419 0.119 0.701
F 0.581 0.619 0.799

## Properties
Calculated formation energy ... -2.565 eV per atom
Total magnetic moment ... 0.0 μB/f.u.
Crystal system ... monoclinic

---

Entry 8:
## PdAu2F8 (PBE)

Data for a geometry-optimized PdAu2F8 structure.

a = 11.152 Å, b = 5.510 Å, c = 7.749 Å
α = 47.02°, β = 90.00°, γ = 90.00°
Sites, in units of the cell vectors:
Pd 0.500 0.500 0.500
Pd 0.000 0.500 0.000
Au 0.686 0.230 0.030
Au 0.186 0.770 0.470
Au 0.814 0.230 0.530
Au 0.314 0.770 0.970
F 0.470 0.973 0.805
F 0.970 0.027 0.695
F 0.530 0.027 0.195
F 0.030 0.973 0.305
F 0.900 0.538 0.221
F 0.400 0.462 0.279
F 0.844 0.429 0.867
F 0.344 0.571 0.633
F 0.156 0.571 0.133
F 0.656 0.429 0.367
F 0.272 0.055 0.170
F 0.772 0.945 0.330
F 0.728 0.945 0.830
F 0.228 0.055 0.670
F 0.600 0.538 0.721
F 0.100 0.462 0.779

## Properties
Calculated formation energy ... -1.383 eV per atom
Crystal system ... monoclinic